(1)
Na2ZrTiSi2SO12 (PBE, relaxed); space group = P1 (1); calculated density = 2887 kg/m3; calculated formation energy = -282 kJ/mol of atoms; total energy = -140.7 eV/f.u.; total magnetic moment = 0.000 μB per cell
1.0
9.006 0.000 0.000
4.493 7.824 0.000
0.237 -0.040 22.791
Na Zr Ti Si S O
12 6 6 12 6 72
Cartesian
0.000 0.000 0.000 Na
9.191 0.099 11.489 Na
6.014 5.148 13.487 Na
3.151 0.250 2.033 Na
4.585 2.722 3.810 Na
4.706 2.580 15.333 Na
7.737 2.837 17.225 Na
10.432 7.741 5.862 Na
9.107 5.245 7.686 Na
9.302 5.319 18.988 Na
10.594 2.495 20.994 Na
12.233 5.451 9.636 Na
4.756 7.795 3.371 Zr
4.788 2.548 7.207 Zr
4.972 2.578 11.952 Zr
9.456 5.134 22.311 Zr
9.352 5.168 11.053 Zr
9.383 5.203 4.308 Zr
4.862 7.742 14.871 Ti
0.593 0.011 19.482 Ti
4.824 7.567 8.115 Ti
4.930 2.546 18.573 Ti
4.736 2.364 0.450 Ti
9.412 4.936 15.755 Ti
3.510 5.467 5.773 Si
1.779 2.147 17.140 Si
6.209 5.520 17.140 Si
7.368 7.752 5.746 Si
3.674 0.278 20.871 Si
6.187 4.864 9.550 Si
7.499 2.455 20.856 Si
6.222 0.251 9.486 Si
10.585 7.485 1.909 Si
8.138 2.794 13.435 Si
11.981 5.192 13.418 Si
10.640 2.889 1.846 Si
2.156 2.487 9.578 S
3.723 4.788 20.914 S
8.029 7.422 13.450 S
6.591 5.100 1.939 S
11.302 7.728 17.174 S
8.016 2.218 5.810 S
3.790 6.395 7.127 O
3.999 6.472 13.629 O
1.067 1.346 1.980 O
4.054 6.273 4.476 O
1.275 1.332 9.426 O
1.337 1.174 15.897 O
4.272 6.147 20.777 O
3.004 2.716 8.368 O
3.957 3.950 19.700 O
3.008 2.330 10.774 O
3.912 3.837 13.339 O
4.250 4.154 22.132 O
2.015 0.194 20.727 O
3.276 2.772 1.714 O
5.443 6.339 9.379 O
4.145 3.985 5.844 O
5.545 6.216 15.798 O
6.314 7.684 7.021 O
3.381 2.348 17.310 O
5.827 6.514 18.418 O
2.046 0.131 4.349 O
6.535 7.513 13.522 O
5.786 6.363 2.028 O
5.462 4.243 10.905 O
3.888 1.173 22.257 O
5.600 3.988 17.341 O
3.927 1.189 5.855 O
4.265 1.166 19.629 O
4.103 0.955 13.287 O
5.715 3.940 1.787 O
5.782 3.926 8.290 O
8.260 6.611 12.204 O
7.452 5.326 0.740 O
7.426 4.946 3.150 O
8.284 6.385 5.708 O
8.612 6.771 14.621 O
7.853 5.339 16.989 O
5.342 1.134 1.724 O
6.483 2.754 13.326 O
7.784 5.046 9.681 O
8.815 6.624 20.954 O
6.562 2.672 19.509 O
6.489 2.348 22.164 O
5.549 0.889 8.138 O
5.830 1.183 10.787 O
5.987 1.174 17.248 O
6.519 2.312 5.853 O
9.872 6.882 3.278 O
8.375 3.788 14.754 O
8.529 3.743 20.978 O
10.147 6.534 9.638 O
10.161 6.533 0.662 O
10.404 6.567 17.023 O
8.578 3.575 5.676 O
8.720 3.566 12.125 O
8.259 1.424 4.567 O
7.658 0.125 15.955 O
8.557 1.566 6.999 O
8.456 1.109 20.733 O
12.142 7.564 18.372 O
7.864 0.136 9.365 O
10.864 5.413 5.708 O
10.014 3.626 16.974 O
12.182 7.673 2.010 O
10.885 5.055 14.658 O
8.776 1.314 13.626 O
11.154 5.412 12.017 O
9.958 3.547 0.508 O
10.264 3.801 3.165 O
10.366 3.754 9.673 O
11.214 4.867 20.978 O
10.045 1.520 18.496 O

(2)
Na2Y4SiS5O24 (PBE, relaxed); space group = P1 (1); calculated density = 2711 kg/m3; calculated formation energy = -262 kJ/mol of atoms; total energy = -254.6 eV/f.u.; total magnetic moment = 0.000 μB per cell
1.0
9.196 0.000 0.000
4.594 7.980 0.000
0.018 0.011 24.393
Na Y Si S O
6 12 3 15 72
Cartesian
0.000 0.000 0.000 Na
0.107 0.149 11.842 Na
4.553 2.793 16.170 Na
4.640 2.671 4.228 Na
9.006 5.433 20.489 Na
9.185 5.691 8.034 Na
4.483 2.719 12.460 Y
4.579 2.883 0.395 Y
4.622 2.865 19.938 Y
4.565 2.619 7.641 Y
9.065 5.451 23.916 Y
9.113 5.529 11.591 Y
9.143 5.451 16.644 Y
9.189 5.534 4.552 Y
9.060 0.138 3.678 Y
9.142 0.116 8.483 Y
9.160 0.136 15.757 Y
9.194 0.061 20.820 Y
3.109 0.417 10.129 Si
5.952 5.169 22.322 Si
6.414 0.142 6.075 Si
1.854 2.808 22.317 S
3.208 5.143 10.131 S
2.673 0.143 18.237 S
5.890 5.742 6.044 S
7.772 7.812 1.982 S
6.433 5.437 14.215 S
5.903 0.445 22.320 S
7.264 2.783 10.144 S
10.500 7.809 14.216 S
7.805 3.083 1.999 S
7.799 2.474 18.239 S
11.841 5.448 1.975 S
10.513 3.115 14.214 S
10.496 2.490 6.038 S
12.389 5.763 18.236 S
0.962 1.627 22.160 O
3.789 6.501 10.057 O
3.763 6.419 17.031 O
1.060 1.659 4.829 O
2.685 2.955 21.093 O
3.490 4.351 8.934 O
3.486 4.220 1.867 O
2.796 2.984 14.150 O
3.774 4.509 11.365 O
2.685 2.589 23.514 O
2.764 2.688 6.151 O
3.794 4.410 18.341 O
1.491 0.253 10.066 O
5.251 6.658 22.203 O
1.814 0.291 17.031 O
5.356 6.407 4.828 O
6.298 7.943 2.081 O
5.584 6.657 14.384 O
6.431 7.947 19.440 O
5.672 6.570 7.248 O
5.242 4.425 6.176 O
3.452 1.272 11.507 O
5.309 4.437 23.624 O
3.532 1.342 18.343 O
3.767 1.143 8.844 O
3.804 1.171 1.835 O
5.571 4.239 14.132 O
5.638 4.293 20.967 O
7.268 5.619 13.026 O
8.066 6.995 0.766 O
8.117 6.904 18.092 O
7.361 5.569 5.895 O
8.334 7.157 3.178 O
7.293 5.294 15.435 O
8.431 6.915 10.258 O
7.583 5.327 22.405 O
5.476 1.487 6.095 O
5.309 1.183 14.129 O
6.326 2.918 1.860 O
5.314 1.058 21.096 O
6.435 3.007 8.953 O
6.319 2.601 18.321 O
5.622 1.251 23.517 O
6.426 2.640 11.373 O
9.932 7.149 15.435 O
8.072 3.895 3.189 O
8.147 3.968 10.311 O
9.931 7.062 22.447 O
10.058 6.773 5.960 O
8.404 3.832 18.087 O
8.347 3.739 0.774 O
10.248 6.993 13.027 O
8.102 1.662 17.031 O
7.334 0.280 4.717 O
7.381 0.349 22.160 O
8.098 1.569 10.038 O
8.360 1.849 19.446 O
11.943 7.945 7.393 O
11.978 7.938 14.390 O
8.441 1.741 2.073 O
9.833 3.810 5.883 O
10.912 5.631 18.087 O
11.006 5.604 0.757 O
9.943 3.734 13.022 O
10.223 4.031 22.448 O
10.925 5.248 10.299 O
10.205 3.926 15.436 O
10.999 5.293 3.173 O
12.649 6.576 19.438 O
9.947 1.853 7.247 O
9.905 1.757 14.391 O
12.728 6.640 2.076 O